1.
VASP calculation (PBE-GGA) on a relaxed Ca3Mo2N4 crystal.

* calculated volume: 14.63 Å³/atom
* energy: -264.6 eV/cell

a = 11.1902 Å, b = 8.5533 Å, c = 5.5029 Å
α = 90.00°, β = 90.73°, γ = 90.00°
Space group C2/c (No. 15)
Symmetry-distinct sites (fractional):
Ca  0.0000  0.1033  0.2500 x4
Ca  0.1132  0.3663  0.5297 x8
Mo  0.2035  0.1216  0.9121 x8
N  0.1178  0.3288  0.0214 x8
N  0.1532  0.0819  0.5736 x8



2.
VASP calculation (PBE-GGA) on a relaxed Ca2MoN3 crystal.

* calculated volume: 14.99 Å³/atom
* energy: -360.7 eV/cell

a = 5.6344 Å, b = 10.7190 Å, c = 11.9502 Å
α = 90.00°, β = 94.35°, γ = 90.00°
Space group C2/c (No. 15)
Symmetry-distinct sites (fractional):
Ca  0.2232  0.1141  0.4194 x8
Ca  0.2270  0.2030  0.8566 x8
Mo  0.2222  0.4990  0.3382 x8
N  0.0000  0.0051  0.7500 x4
N  0.0000  0.3803  0.7500 x4
N  0.1679  0.3320  0.3756 x8
N  0.2189  0.0936  0.0335 x8



3.
VASP calculation (PBE-GGA) on a relaxed CaMoN3 crystal.

* calculated volume: 13.43 Å³/atom
* energy: -81.0 eV/cell

a = 3.5353 Å, b = 4.2958 Å, c = 8.8414 Å
α = 90.00°, β = 90.00°, γ = 90.00°
Space group Pmm2 (No. 25)
Symmetry-distinct sites (fractional):
Ca  0.0000  0.0000  0.0000 x1
Ca  0.0000  0.5000  0.3754 x1
Mo  0.5000  0.0000  0.5889 x1
Mo  0.5000  0.5000  0.7964 x1
N  0.0000  0.0000  0.4991 x1
N  0.0000  0.5000  0.8875 x1
N  0.5000  0.0000  0.8086 x1
N  0.5000  0.1431  0.2087 x2
N  0.5000  0.5000  0.5753 x1



4.
VASP calculation (PBE-GGA) on a relaxed Ca3Mo2N4 crystal.

* calculated volume: 15.30 Å³/atom
* energy: -267.7 eV/cell

a = 5.7720 Å, b = 10.2856 Å, c = 9.2757 Å
α = 90.00°, β = 90.00°, γ = 90.00°
Space group Pnna (No. 52)
Symmetry-distinct sites (fractional):
Ca  0.1201  0.1570  0.0791 x8
Ca  0.2500  0.0000  0.3975 x4
Mo  0.1267  0.2500  0.7500 x4
Mo  0.2500  0.0000  0.7344 x4
N  0.0066  0.5815  0.3429 x8
N  0.1459  0.6541  0.8830 x8



5.
VASP calculation (PBE-GGA) on a relaxed CaMoN3 crystal.

* calculated volume: 15.76 Å³/atom
* energy: -81.2 eV/cell

a = 4.4038 Å, b = 3.5815 Å, c = 10.1782 Å
α = 90.00°, β = 100.95°, γ = 90.00°
Space group P2/m (No. 10)
Symmetry-distinct sites (fractional):
Ca  0.1127  0.0000  0.2421 x2
Mo  0.3242  0.5000  0.5932 x2
N  0.0272  0.5000  0.0597 x2
N  0.1820  0.5000  0.4008 x2
N  0.3486  0.0000  0.6733 x2



6.
VASP calculation (PBE-GGA) on a relaxed CaMo6S8 crystal.

* calculated volume: 18.98 Å³/atom
* energy: -113.3 eV/cell

a = 6.5191 Å, b = 6.5954 Å, c = 6.6215 Å
α = 90.24°, β = 90.42°, γ = 90.59°
Space group P-1 (No. 2)
Symmetry-distinct sites (fractional):
Ca  0.0000  0.0000  0.0000 x1
Mo  0.2312  0.4411  0.4201 x2
Mo  0.4187  0.7747  0.5590 x2
Mo  0.4404  0.4202  0.7748 x2
S  0.1290  0.6257  0.7428 x2
S  0.2416  0.7627  0.2395 x2
S  0.2589  0.1287  0.6264 x2
S  0.3758  0.2571  0.1282 x2



7.
VASP calculation (PBE-GGA) on a relaxed CaMo6S8 crystal.

* calculated volume: 19.08 Å³/atom
* energy: -105.6 eV/cell

a = 6.2764 Å, b = 6.2812 Å, c = 8.2681 Å
α = 94.23°, β = 107.10°, γ = 110.46°
Space group P-1 (No. 2)
Symmetry-distinct sites (fractional):
Ca  0.0000  0.0000  0.0000 x1
Mo  0.2494  0.7888  0.5873 x2
Mo  0.3695  0.3570  0.3721 x2
Mo  0.4280  0.6642  0.9141 x2
S  0.1913  0.4011  0.6045 x2
S  0.2564  0.4677  0.1052 x2
S  0.3224  0.0031  0.8540 x2
S  0.3221  0.9694  0.3455 x2



8.
VASP calculation (PBE-GGA) on a relaxed CaMo6S8 crystal.

* calculated volume: 18.78 Å³/atom
* energy: -339.9 eV/cell

a = 9.2483 Å, b = 9.2483 Å, c = 11.4077 Å
α = 90.00°, β = 90.00°, γ = 120.00°
Space group R-3 (No. 148, hexagonal axes)
Symmetry-distinct sites (fractional):
Ca  0.0000  0.0000  0.0000 x3
Mo  0.0169  0.8411  0.4002 x18
S  0.0000  0.0000  0.2386 x6
S  0.0073  0.6292  0.2501 x18